Below is Cr2P3O12 after structural relaxation, with properties calculated at the PBE with a Hubbard U level.

Summary:
Energy above the most stable polymorph in this dataset (meV per atom): 0
Symmetry: R-3

The structure in extended XYZ format:
```
34
Lattice="7.7238 -4.2048 0.0000 7.7238 4.2048 0.0000 5.4348 0.0000 6.9138" Properties=species:S:1:pos:R:3 pbc="T T T"
O 5.8485 -0.3064 3.5488
O 12.7812 -1.2054 3.1121
O 12.6083 1.5231 3.6345
O 6.4868 1.4788 1.6209
O 9.5945 -3.3348 4.3321
O 9.1814 -3.3947 1.8548
O 11.2878 3.3348 2.5817
O 14.3956 -1.4788 5.2929
O 11.6784 -2.6174 1.4020
O 9.2040 2.6174 5.5118
O 14.2288 1.1725 5.7966
O 11.7010 3.3947 5.0590
O 11.9521 -0.3177 5.6165
O 11.3073 -2.6716 6.2480
O 6.6536 -1.1725 1.1172
O 8.1011 1.2054 3.8017
O 7.7271 0.7231 6.2476
O 9.5751 2.6716 0.6658
O 8.2741 -1.5231 3.2793
O 9.8629 -0.7174 6.8854
O 8.9303 0.3177 1.2973
O 13.1553 -0.7231 0.6662
O 11.0194 0.7174 0.0284
O 15.0338 0.3064 3.3650
P 7.9209 1.8300 5.1986
P 11.3104 -1.2029 6.7022
P 8.5758 -3.0329 3.2207
P 12.3066 3.0329 3.6931
P 12.9615 -1.8300 1.7152
P 9.5720 1.2029 0.2116
Cr 17.9302 0.0000 5.9364
Cr 13.4546 0.0000 4.4546
Cr 2.9522 0.0000 0.9774
Cr 7.4278 0.0000 2.4592
```

Below is Cr4P6O21 after structural relaxation, with properties calculated at the PBE with a Hubbard U level.

Summary:
Symmetry: Pnma

The structure in extended XYZ format:
```
124
Lattice="-2.5692 -0.5432 7.0745 9.0179 -1.0697 3.1929 1.7402 21.4797 2.2813" Properties=species:S:1:pos:R:3 pbc="T T T"
O 3.0289 7.0621 7.6792
O 3.8930 8.4797 9.4834
O 7.6335 15.1026 9.9688
O 8.0363 3.5761 3.8245
O 7.4750 -0.6389 4.6779
O 1.5967 13.7251 9.0401
O 2.5547 -0.0720 4.2952
O -0.3275 3.1103 7.5263
O 5.2473 15.6454 9.1439
O 1.0342 16.4771 6.2968
O 2.3752 5.4749 5.9391
O 3.4140 11.2006 5.4937
O 7.3287 18.9152 11.5324
O 5.8299 11.2813 7.6429
O 6.6952 14.5783 4.1823
O 5.7112 10.4134 4.8860
O 4.3482 15.1574 4.7553
O 2.4777 9.4534 7.6627
O 7.2449 1.2978 8.7677
O 5.0442 -0.1861 3.8299
O 8.2106 19.1017 9.1040
O 3.2384 8.7715 2.4844
O 5.6342 19.9388 8.2535
O 0.8602 0.9516 1.0163
O 7.6423 16.5717 7.4296
O 0.5555 4.7642 2.5799
O 8.1684 10.2864 5.7686
O 3.8407 4.7094 7.7934
O 7.3930 6.7523 9.2403
O 3.7088 16.4165 7.2630
O 3.4233 0.1116 1.9035
O 5.1070 2.4926 8.0830
O 1.6338 11.1670 2.1025
O 0.3351 1.0305 6.2378
O 5.1601 12.8047 4.8695
O 6.7250 8.1272 5.0786
O 3.0820 17.3742 4.4656
O 2.9417 4.2214 3.4048
O 2.3362 19.4313 5.7302
O 1.9203 15.1857 3.8757
O 1.4640 11.7396 7.4700
O 4.2959 11.3871 3.0653
O 6.0356 13.2255 9.2444
O 5.7180 5.9569 5.9157
O 2.3590 8.5855 4.9058
O 9.3286 14.0093 5.0945
O 2.4709 13.9099 6.6330
O 7.1548 3.3897 6.2518
O 0.0205 9.5804 6.7801
O 7.4237 8.8835 8.0545
O 1.4937 5.2885 8.3664
O 0.5467 3.2951 5.1191
O 8.4468 13.8229 7.5226
O 6.5922 6.1417 3.5085
O 8.3994 1.5774 5.1838
O 4.9734 0.2496 9.2398
O 7.8538 18.8363 6.3109
O 4.7749 8.6662 7.0550
O -0.2579 6.0439 5.0260
O 2.1534 6.6413 3.3043
O 4.9505 11.0953 10.0643
O 4.4767 17.9413 9.0403
O 0.7139 20.5057 7.8707
O 5.8528 0.4355 6.8184
O 0.9441 18.5690 3.7810
O -0.0217 0.7651 3.4447
O -1.1397 5.8575 7.4542
O 2.8269 16.2300 9.6912
O 4.4802 3.4503 5.2856
O 5.3620 3.6368 2.8575
O 3.2155 19.6172 3.3089
O 6.2686 4.6811 8.6730
O 3.1447 20.0529 8.7188
O 3.7466 12.5558 8.3617
O 0.7653 10.9833 4.4942
O 0.7960 13.1145 3.3084
O 4.7656 19.7551 10.6452
O 0.1527 16.2907 8.7241
O -0.2105 18.2894 7.3648
O 3.7122 1.9255 3.5083
O 6.5551 8.6998 10.4462
O 5.8137 14.3919 6.6096
O 8.5165 16.7565 5.0224
O 4.4423 7.3110 4.1870
Cr 6.3826 9.6368 6.6326
Cr 5.8976 14.6378 10.8674
Cr 1.8063 10.2300 5.9161
Cr 8.4584 20.5628 5.1006
Cr 0.8090 10.0191 8.6625
Cr 3.6924 15.9058 3.0099
Cr 5.4954 4.1721 6.7884
Cr 2.6936 15.6946 5.7603
Cr 0.7279 -0.4851 4.7017
Cr 6.8965 14.8490 8.1170
Cr 7.4610 20.3519 7.8470
Cr 2.2913 5.2290 1.6813
Cr 1.2924 5.0178 4.4317
Cr 7.3800 9.8477 3.8862
Cr -0.2695 -0.6960 7.4481
Cr 4.4965 3.9610 9.5388
P 5.9107 6.8353 4.6837
P -0.2563 2.4891 6.1350
P 3.6499 0.3668 3.3660
P 5.5775 14.2907 5.1352
P 2.2783 13.0315 7.8650
P -0.0395 16.7336 7.3075
P 0.6070 11.5708 3.1212
P 2.6114 5.5761 7.4135
P -1.3760 6.2694 6.0186
P 8.4476 18.7334 10.5433
P 4.5391 19.5000 9.1827
P 4.2057 3.3901 3.8000
P 7.5820 8.2960 9.4275
P -0.2587 1.1334 2.0054
P 5.7464 1.0642 8.2056
P 4.5642 11.4043 4.5455
P 3.6248 8.4625 8.0031
P 8.2284 3.1332 5.2412
P 9.5649 13.5974 6.5300
P 8.4453 17.3777 6.4137
P 3.9833 16.4767 8.7487
P 2.4425 18.8026 4.3431
P 5.1790 11.9746 8.8373
P 3.0099 7.8922 3.7114
```

Below is Cr4P3O12 after structural relaxation, with properties calculated at the PBE with a Hubbard U level.

Summary:
Energy above the most stable polymorph in this dataset (meV per atom): 0
Symmetry: C2/c

The structure in extended XYZ format:
```
38
Lattice="6.3074 6.2119 0.0000 -6.3074 6.2119 0.0000 0.0000 3.0824 6.0720" Properties=species:S:1:pos:R:3 pbc="T T T"
Cr 1.9907 3.8791 2.2354
Cr 0.0404 6.9825 1.5180
Cr -1.9907 5.4203 5.2714
Cr -1.9907 11.6271 3.8365
Cr -0.0404 8.5237 4.5540
Cr -3.1034 6.9825 1.5180
Cr 3.1034 8.5237 4.5540
Cr 1.9907 10.0859 0.8006
O -3.6202 8.5966 5.8264
O -1.7142 7.3363 4.5601
O -2.3065 3.4362 1.1840
O 2.3065 12.0699 4.8879
O 0.0066 10.3313 0.8108
O -0.0066 11.8725 3.8468
O -0.0066 5.1748 5.2611
O -1.4522 5.6964 1.9705
O 2.0597 2.3770 0.6446
O 2.3065 4.9774 4.2200
O -1.4522 8.2685 1.0655
O -2.3065 10.5287 1.8519
O 3.6202 6.9095 0.2455
O 1.4522 9.8098 4.1014
O -2.0597 13.1291 5.4274
O -3.6202 8.4507 3.2815
O -1.7142 9.7111 4.5479
O 1.4522 7.2376 5.0065
O 3.6202 7.0554 2.7905
O 1.7142 5.7951 1.5241
O -2.0597 3.9183 3.6806
O 2.0597 11.5879 2.3914
O 1.7142 8.1698 1.5119
O 0.0066 3.6336 2.2252
P 2.7746 6.9825 1.5180
P -1.4184 9.8311 0.7594
P -1.4184 4.1339 2.2766
P -2.7746 8.5237 4.5540
P 1.4184 11.3723 3.7953
P 1.4184 5.6751 5.3126
```

Below is CrP2O6 after structural relaxation, with properties calculated at the PBE with a Hubbard U level.

Summary:
Energy above the most stable polymorph in this dataset (meV per atom): 61
Symmetry: Cc

The structure in extended XYZ format:
```
36
Lattice="4.0154 4.0235 0.0000 -4.0154 4.0235 0.0000 0.0000 1.0600 16.4771" Properties=species:S:1:pos:R:3 pbc="T T T"
P -2.0822 4.8236 8.4216
P -0.1719 4.7709 6.1553
P 0.1554 3.0213 12.5124
P -0.1554 2.4913 4.2738
P 2.0822 4.2936 0.1831
P 0.1719 5.3009 14.3938
P -2.2427 2.9705 10.7165
P 2.2427 2.4405 2.4779
O -1.3043 4.1962 7.1713
O -2.0085 5.0605 2.0084
O 1.5202 3.4364 1.4095
O 1.0378 2.7356 11.3401
O -1.5202 3.9664 9.6480
O 3.5477 5.0646 16.4617
O 0.1134 2.0512 13.6442
O -1.6354 6.2513 8.6277
O -1.0378 2.2056 3.1016
O 0.3717 6.7530 14.1614
O -0.3717 6.2230 5.9228
O -0.3759 6.9107 2.7307
O 1.1551 4.2771 6.6484
O 0.3759 7.4407 10.9693
O -1.1551 4.8071 14.8869
O -3.5477 4.5346 8.2232
O 0.5657 4.4997 13.0497
O -1.3715 3.2743 12.0325
O -0.5657 3.9697 4.8112
O 2.0085 5.5905 10.2469
O 1.6354 5.7213 0.3892
O -0.1134 1.5212 5.4056
O 1.3043 4.7262 15.4098
O 1.3715 2.7443 3.7940
Cr -2.4636 3.1010 1.8960
Cr 2.4636 3.6310 10.1345
Cr 3.1652 4.1183 6.6987
Cr -3.1652 4.6483 14.9372
```

no.,total DFT energy (no corrections) (eV/cell),ρ (Mg/m³),energy relative to the elements (eV/atom)
1,-244.07,2.9,-2.315
2,-914.15,3.1,-2.450
3,-289.82,3.4,-2.470
4,-265.89,2.6,-2.492